[1]
VASP calculation (PBE-GGA) on a geometry-optimized In2AgSe3Br structure.

Geometry as extended XYZ:
```
14
Lattice="7.024 -4.124 0.000 7.024 4.124 0.000 4.603 0.000 6.720" Properties=species:S:1:pos:R:3 pbc="T T T"
In 2.301 0.000 3.360
Se 7.014 0.000 5.291
Se 8.336 2.251 1.622
Br 4.769 0.000 1.718
Br 13.881 0.000 5.001
Se 11.635 0.000 1.429
Ag 11.036 0.000 3.976
Se 10.314 -2.251 5.098
Se 8.336 -2.251 1.622
In 0.000 0.000 0.000
In 3.512 2.062 0.000
Se 10.314 2.251 5.098
Ag 7.614 0.000 2.743
In 3.512 -2.062 0.000
```

Calculated values
Energy of formation from the pure elements ... -0.57 eV per atom
Spin magnetization ... 0.000 μB per atom

***

[2]
VASP calculation (PBE-GGA) on a geometry-optimized In2AgTe3Br structure.

Geometry as extended XYZ:
```
7
Lattice="4.301 0.000 0.000 0.000 4.301 0.000 0.000 0.000 11.705" Properties=species:S:1:pos:R:3 pbc="T T T"
In 2.150 2.150 3.092
Te 2.150 2.150 0.000
Te 0.000 0.000 2.804
In 2.150 2.150 8.613
Te 0.000 0.000 8.901
Ag 0.000 0.000 0.000
Br 2.150 2.150 5.853
```

Calculated values
Energy of formation from the pure elements ... -0.35 eV per atom
Spin magnetization ... 0.000 μB per atom

***

[3]
VASP calculation (PBE-GGA) on a geometry-optimized KAgBr3 structure.

Geometry as extended XYZ:
```
5
Lattice="-2.707 -3.213 -3.421 3.343 -4.092 1.198 -3.293 -1.512 4.026" Properties=species:S:1:pos:R:3 pbc="T T T"
Ag -1.377 -4.431 0.961
K -0.005 -0.002 0.006
Br 0.270 -3.675 -1.052
Br -3.052 -2.387 0.366
Br -0.027 -2.826 2.675
```

Calculated values
Energy of formation from the pure elements ... -1.18 eV per atom

***

[4]
VASP calculation (PBE-GGA) on a geometry-optimized KAgBr3 structure.

Geometry as extended XYZ:
```
10
Lattice="6.541 -3.836 0.000 6.541 3.836 0.000 4.291 0.000 6.251" Properties=species:S:1:pos:R:3 pbc="T T T"
Br 7.782 -1.696 1.227
Br 6.533 -0.435 4.699
Br 9.928 -2.140 4.352
Br 7.527 2.131 1.935
Ag 8.739 0.000 3.145
Br 9.673 1.705 5.061
K 4.658 0.000 1.676
Ag 0.053 0.000 0.019
Br 10.928 0.435 1.573
K 13.344 0.000 4.802
```

Calculated values
Energy of formation from the pure elements ... -1.19 eV per atom

***

[5]
VASP calculation (PBE-GGA) on a geometry-optimized K2AgMoBr6 structure.

Geometry as extended XYZ:
```
10
Lattice="0.000 5.451 5.451 5.451 0.000 5.451 5.451 5.451 0.000" Properties=species:S:1:pos:R:3 pbc="T T T"
K 2.726 2.726 2.726
Br 2.617 5.451 5.451
Ag 5.451 5.451 5.451
Br 5.451 8.286 5.451
Br 8.286 5.451 5.451
Br 5.451 2.617 5.451
Mo 0.000 0.000 0.000
Br 5.451 5.451 2.617
K 8.177 8.177 8.177
Br 5.451 5.451 8.286
```

Calculated values
Energy of formation from the pure elements ... -1.27 eV per atom
Spin magnetization ... 0.300 μB per atom

***

[6]
VASP calculation (PBE-GGA) on a geometry-optimized K2NdAgBr6 structure.

Geometry as extended XYZ:
```
10
Lattice="-5.983 3.790 3.939 -2.541 7.271 -2.519 -7.284 0.769 -3.467" Properties=species:S:1:pos:R:3 pbc="T T T"
Br -7.593 3.332 -2.250
Br -8.868 6.981 -3.514
K -3.952 2.957 -0.512
Br -5.213 6.595 -1.774
Br -6.940 4.848 1.466
Ag 0.000 0.000 0.000
K -11.856 8.872 -1.536
Nd -7.904 5.915 -1.024
Br -10.595 5.234 -0.274
Br -8.215 8.497 0.202
```

Calculated values
Energy of formation from the pure elements ... -1.81 eV per atom
Spin magnetization ... 0.000 μB per atom

***

One value per record, in order, for E_tot: -47.9; -21.3; -13.2; -26.4; -35.2; -34.6 eV for the cell shown.